1.
Density functional theory data (PBE+U) for MgFe3P3O13 after structural relaxation.

Lattice parameters (Å, degrees): 7.6459 6.3409 10.1245 90.00 100.21 90.00
Space group P2_1/m (No. 11)
Unique sites:
Mg 0.1262 0.2500 0.1776 x2
Fe 0.1465 0.2500 0.7920 x2
Fe 0.2830 0.7500 0.4326 x2
Fe 0.5000 0.0000 0.0000 x2
P 0.1803 0.7500 0.1100 x2
P 0.2266 0.7500 0.7597 x2
P 0.2839 0.2500 0.5013 x2
O 0.0064 0.2500 0.9788 x2
O 0.1072 0.5628 0.7859 x4
O 0.1289 0.7500 0.2522 x2
O 0.1538 0.2500 0.6009 x2
O 0.2484 0.0604 0.4030 x4
O 0.2783 0.7500 0.6220 x2
O 0.2853 0.5422 0.0983 x4
O 0.3782 0.2500 0.9038 x2
O 0.4011 0.7500 0.8688 x2
O 0.4745 0.2500 0.5838 x2



2.
Density functional theory data (PBE+U) for NaNd3Ti3MnO12 after structural relaxation.

Lattice parameters (Å, degrees): 5.4992 5.6570 7.8855 89.87 89.76 89.88
Space group P1 (No. 1)
Unique sites:
Na 0.0000 0.0000 0.0000 x1
Nd 0.0153 0.0690 0.5131 x1
Nd 0.4913 0.5694 0.5047 x1
Nd 0.5198 0.4678 0.9918 x1
Ti 0.0011 0.5392 0.2540 x1
Ti 0.0063 0.5223 0.7665 x1
Ti 0.5126 0.0298 0.2417 x1
Mn 0.5068 0.0139 0.7570 x1
O 0.0902 0.5412 0.0040 x1
O 0.2016 0.7896 0.6892 x1
O 0.2103 0.7911 0.3062 x1
O 0.2792 0.2988 0.2993 x1
O 0.2873 0.3223 0.7031 x1
O 0.4192 0.0366 0.0171 x1
O 0.5966 0.9904 0.4844 x1
O 0.7073 0.6951 0.7806 x1
O 0.7067 0.7154 0.2099 x1
O 0.7728 0.2419 0.2035 x1
O 0.8140 0.2386 0.7892 x1
O 0.9164 0.4900 0.4889 x1



3.
Density functional theory data (PBE+U) for FeO2 after structural relaxation.

Lattice parameters (Å, degrees): 2.9095 2.9095 20.8738 90.00 90.00 120.00
Space group R-3m (No. 166, hexagonal axes)
Unique sites:
Fe 0.0000 0.0000 0.0000 x3
O 0.0000 0.0000 0.3791 x6



4.
Density functional theory data (PBE+U) for V2Cu5H4O12 after structural relaxation.

Lattice parameters (Å, degrees): 5.5210 6.3039 6.9461 93.57 90.57 90.35
Space group P-1 (No. 2)
Unique sites:
V 0.0573 0.1913 0.3138 x2
Cu 0.0034 0.6831 0.1782 x2
Cu 0.4964 0.1532 0.6618 x2
Cu 0.5000 0.5000 0.0000 x1
H 0.2907 0.8785 0.9907 x2
H 0.2987 0.5262 0.6552 x2
O 0.1065 0.0211 0.8044 x2
O 0.1117 0.3870 0.1491 x2
O 0.1247 0.7048 0.5090 x2
O 0.3315 0.4175 0.7507 x2
O 0.3342 0.7715 0.0848 x2
O 0.3494 0.1165 0.4052 x2



Sequential calculated density output: 3.4; 5.7; 2.9; 4.2 g/cm³
Sequential energy with MP2020 corrections output: -7.7705; -8.7943; -7.2353; -6.2575 eV/atom
Sequential ΔH_f (0 K) output: -2392; -3402; -1113; -1405 meV per atom